Entry 1:
Ag5Sb23Pb12S48 after structural relaxation, computed with GGA-PBE.

Computed properties:
E_tot = -4.297 eV/atom
magnetization = 0.03 μB per cell
energy with MP2020 corrections = -4.5711 eV per atom
DFT formation energy = -0.5685 eV/atom

Lattice parameters (Å, degrees): 8.6954 13.2960 19.6249 90.30 90.02 90.19
Space group P1 (No. 1)
Symmetry-distinct sites (fractional):
Ag: 0.0000 0.0000 0.0000 [1 per cell]
Ag: 0.0016 0.1750 0.5085 [1 per cell]
Ag: 0.2372 0.6451 0.2818 [1 per cell]
Ag: 0.4986 0.1425 0.4981 [1 per cell]
Ag: 0.7365 0.5014 0.7812 [1 per cell]
Sb: 0.2395 0.4729 0.0125 [1 per cell]
Sb: 0.2393 0.9470 0.5832 [1 per cell]
Sb: 0.2407 0.4730 0.7713 [1 per cell]
Sb: 0.2507 0.1915 0.0881 [1 per cell]
Sb: 0.2588 0.2043 0.6930 [1 per cell]
Sb: 0.2604 0.6987 0.4910 [1 per cell]
Sb: 0.4740 0.1951 0.2892 [1 per cell]
Sb: 0.4797 0.7039 0.0870 [1 per cell]
Sb: 0.4838 0.6907 0.6924 [1 per cell]
Sb: 0.4965 0.9733 0.0107 [1 per cell]
Sb: 0.4980 0.9741 0.7684 [1 per cell]
Sb: 0.4988 0.4445 0.1960 [1 per cell]
Sb: 0.7384 0.2025 0.0854 [1 per cell]
Sb: 0.7388 0.6730 0.5111 [1 per cell]
Sb: 0.7400 0.6746 0.2714 [1 per cell]
Sb: 0.7556 0.9586 0.5872 [1 per cell]
Sb: 0.7591 0.9434 0.1945 [1 per cell]
Sb: 0.7624 0.4526 0.9921 [1 per cell]
Sb: 0.9761 0.9501 0.7882 [1 per cell]
Sb: 0.9778 0.4415 0.5863 [1 per cell]
Sb: 0.9836 0.4556 0.1929 [1 per cell]
Sb: 0.9963 0.1788 0.2717 [1 per cell]
Sb: 0.9987 0.7020 0.6957 [1 per cell]
Pb: 0.0117 0.9234 0.3978 [1 per cell]
Pb: 0.0145 0.2426 0.8913 [1 per cell]
Pb: 0.2166 0.3997 0.3921 [1 per cell]
Pb: 0.2259 0.7302 0.8864 [1 per cell]
Pb: 0.2462 0.9375 0.1900 [1 per cell]
Pb: 0.4910 0.4321 0.5896 [1 per cell]
Pb: 0.5106 0.2286 0.8957 [1 per cell]
Pb: 0.5164 0.9095 0.3933 [1 per cell]
Pb: 0.7212 0.7420 0.8921 [1 per cell]
Pb: 0.7324 0.4146 0.3869 [1 per cell]
Pb: 0.7509 0.2113 0.6871 [1 per cell]
Pb: 0.9908 0.7112 0.0919 [1 per cell]
S: 0.0053 0.5990 0.8020 [1 per cell]
S: 0.0230 0.5823 0.9737 [1 per cell]
S: 0.0346 0.0707 0.1214 [1 per cell]
S: 0.0437 0.8204 0.5403 [1 per cell]
S: 0.0458 0.3063 0.7427 [1 per cell]
S: 0.1903 0.3407 0.5391 [1 per cell]
S: 0.1933 0.8250 0.7434 [1 per cell]
S: 0.2012 0.5744 0.1575 [1 per cell]
S: 0.2130 0.0658 0.3074 [1 per cell]
S: 0.2337 0.0452 0.4792 [1 per cell]
S: 0.2572 0.3875 0.8947 [1 per cell]
S: 0.2593 0.7746 0.3742 [1 per cell]
S: 0.2649 0.5888 0.6446 [1 per cell]
S: 0.2697 0.1077 0.9745 [1 per cell]
S: 0.2753 0.8253 0.0498 [1 per cell]
S: 0.2796 0.0949 0.7985 [1 per cell]
S: 0.2799 0.3246 0.2451 [1 per cell]
S: 0.4587 0.8223 0.5356 [1 per cell]
S: 0.4599 0.5934 0.9816 [1 per cell]
S: 0.4626 0.3243 0.7304 [1 per cell]
S: 0.4683 0.6064 0.8061 [1 per cell]
S: 0.4759 0.0868 0.1365 [1 per cell]
S: 0.4756 0.2739 0.4070 [1 per cell]
S: 0.4794 0.8873 0.8860 [1 per cell]
S: 0.5063 0.5481 0.3022 [1 per cell]
S: 0.5272 0.5627 0.4742 [1 per cell]
S: 0.5372 0.0761 0.6247 [1 per cell]
S: 0.5412 0.3249 0.0395 [1 per cell]
S: 0.5439 0.8408 0.2414 [1 per cell]
S: 0.6941 0.8053 0.0385 [1 per cell]
S: 0.6953 0.3224 0.2404 [1 per cell]
S: 0.7001 0.5740 0.6582 [1 per cell]
S: 0.7102 0.0832 0.8074 [1 per cell]
S: 0.7312 0.1011 0.9778 [1 per cell]
S: 0.7567 0.7595 0.3952 [1 per cell]
S: 0.7621 0.0358 0.4751 [1 per cell]
S: 0.7618 0.3732 0.8738 [1 per cell]
S: 0.7640 0.5607 0.1432 [1 per cell]
S: 0.7753 0.3216 0.5511 [1 per cell]
S: 0.7791 0.0532 0.3002 [1 per cell]
S: 0.7808 0.8218 0.7465 [1 per cell]
S: 0.9565 0.5517 0.4813 [1 per cell]
S: 0.9602 0.3225 0.0346 [1 per cell]
S: 0.9646 0.8216 0.2302 [1 per cell]
S: 0.9683 0.5412 0.3056 [1 per cell]
S: 0.9707 0.0595 0.6376 [1 per cell]
S: 0.9758 0.8723 0.9073 [1 per cell]
S: 0.9791 0.2610 0.3860 [1 per cell]

Entry 2:
KAlGeO4 after structural relaxation, computed with GGA-PBE.

Computed properties:
E_tot = -6.467 eV/atom
magnetization = 0.00 μB per cell
energy with MP2020 corrections = -6.8591 eV per atom
DFT formation energy = -2.6776 eV/atom

Lattice parameters (Å, degrees): 18.6610 18.6610 8.7309 90.00 90.00 120.00
Space group P6_3 (No. 173)
Symmetry-distinct sites (fractional):
K: 0.0000 0.0000 0.0109 [2 per cell]
K: 0.0058 0.4768 0.9997 [6 per cell]
K: 0.1364 0.3325 0.9959 [6 per cell]
K: 0.1480 0.8150 0.5000 [6 per cell]
K: 0.3333 0.6667 0.4908 [2 per cell]
K: 0.3333 0.6667 0.9935 [2 per cell]
Al: 0.9998 0.3303 0.3026 [6 per cell]
Al: 0.0108 0.8397 0.1798 [6 per cell]
Al: 0.1622 0.5103 0.6999 [6 per cell]
Al: 0.1791 0.6785 0.1993 [6 per cell]
Ge: 0.0008 0.6656 0.1950 [6 per cell]
Ge: 0.0111 0.8430 0.7962 [6 per cell]
Ge: 0.1620 0.5060 0.3189 [6 per cell]
Ge: 0.1775 0.6812 0.8184 [6 per cell]
O: 0.0119 0.3335 0.4986 [6 per cell]
O: 0.0297 0.2603 0.2313 [6 per cell]
O: 0.0297 0.7648 0.2699 [6 per cell]
O: 0.0461 0.8588 0.9879 [6 per cell]
O: 0.0629 0.9353 0.2781 [6 per cell]
O: 0.0693 0.4304 0.2285 [6 per cell]
O: 0.0730 0.6352 0.2476 [6 per cell]
O: 0.0961 0.1947 0.6810 [6 per cell]
O: 0.0963 0.4085 0.7717 [6 per cell]
O: 0.1032 0.7043 0.7424 [6 per cell]
O: 0.1392 0.5738 0.8165 [6 per cell]
O: 0.1419 0.5259 0.5079 [6 per cell]
O: 0.2015 0.7172 0.0094 [6 per cell]
O: 0.2063 0.6010 0.2198 [6 per cell]
O: 0.2354 0.4726 0.3209 [6 per cell]
O: 0.2675 0.5377 0.7128 [6 per cell]

Entry 3:
PrSmIr2 after structural relaxation, computed with GGA-PBE.

Computed properties:
E_tot = -7.371 eV/atom
magnetization = 0.00 μB per cell
DFT formation energy = -0.5769 eV/atom

Lattice parameters (Å, degrees): 7.0847 7.0847 7.0847 90.00 90.00 90.00
Space group Fm-3m (No. 225)
Symmetry-distinct sites (fractional):
Pr: 0.0000 0.0000 0.0000 [4 per cell]
Sm: 0.0000 0.0000 0.5000 [4 per cell]
Ir: 0.2500 0.2500 0.2500 [8 per cell]

Entry 4:
CaMg14Cd after structural relaxation, computed with GGA-PBE.

Computed properties:
E_tot = -1.597 eV/atom
energy above the most stable polymorph in this dataset = 0 meV/atom
magnetization = 0.00 μB per cell
DFT formation energy = -0.0141 eV/atom

Lattice parameters (Å, degrees): 10.5223 6.4422 11.1848 90.00 90.00 90.00
Space group Amm2 (No. 38)
Symmetry-distinct sites (fractional):
Ca: 0.0000 0.0000 0.0000 [2 per cell]
Mg: 0.0000 0.2431 0.2509 [4 per cell]
Mg: 0.2458 0.0000 0.6657 [4 per cell]
Mg: 0.2549 0.2464 0.4150 [8 per cell]
Mg: 0.2569 0.0000 0.1682 [4 per cell]
Mg: 0.5000 0.0000 0.4991 [2 per cell]
Mg: 0.5000 0.0000 0.9991 [2 per cell]
Mg: 0.5000 0.2501 0.2494 [4 per cell]
Cd: 0.0000 0.0000 0.4943 [2 per cell]

Entry 5:
Sr3PbO after structural relaxation, computed with GGA-PBE.

Computed properties:
E_tot = -4.196 eV/atom
energy with MP2020 corrections = -4.3336 eV per atom
DFT formation energy = -1.5878 eV/atom

Lattice parameters (Å, degrees): 5.2144 5.2144 5.2144 90.00 90.00 90.00
Space group Pm-3m (No. 221)
Symmetry-distinct sites (fractional):
Sr: 0.0000 0.0000 0.5000 [3 per cell]
Pb: 0.5000 0.5000 0.5000 [1 per cell]
O: 0.0000 0.0000 0.0000 [1 per cell]

Entry 6:
AlTeO4 after structural relaxation, computed with GGA-PBE.

Computed properties:
E_tot = -6.190 eV/atom
magnetization = 0.00 μB per cell
energy with MP2020 corrections = -6.6482 eV per atom
DFT formation energy = -2.2014 eV/atom

Lattice parameters (Å, degrees): 4.5775 11.5759 4.9303 90.00 90.00 90.00
Space group Pbcn (No. 60)
Symmetry-distinct sites (fractional):
Al: 0.0000 0.0637 0.2500 [4 per cell]
Te: 0.0000 0.3333 0.2500 [4 per cell]
O: 0.2233 0.1869 0.0893 [8 per cell]
O: 0.2277 0.0514 0.5709 [8 per cell]

Entry 7:
TiAlFe2 after structural relaxation, computed with GGA-PBE.

Computed properties:
E_tot = -7.543 eV/atom
magnetization = 0.63 μB per cell
DFT formation energy = -0.3973 eV/atom

Lattice parameters (Å, degrees): 2.9312 2.9312 5.7577 90.00 90.00 90.00
Space group P4/mmm (No. 123)
Symmetry-distinct sites (fractional):
Ti: 0.0000 0.0000 0.0000 [1 per cell]
Al: 0.0000 0.0000 0.5000 [1 per cell]
Fe: 0.5000 0.5000 0.2518 [2 per cell]

Entry 8:
LiP3 after structural relaxation, computed with GGA-PBE.

Computed properties:
E_tot = -4.183 eV/atom
magnetization = 0.00 μB per cell
DFT formation energy = 0.3541 eV/atom

Lattice parameters (Å, degrees): 4.2343 4.2343 8.0386 90.00 90.00 120.00
Space group P6_3/mmc (No. 194)
Symmetry-distinct sites (fractional):
Li: 0.3333 0.6667 0.2500 [2 per cell]
P: 0.0000 0.0000 0.2500 [2 per cell]
P: 0.3333 0.6667 0.6069 [4 per cell]

Entry 9:
RbMg3 after structural relaxation, computed with GGA-PBE.

Computed properties:
E_tot = -1.209 eV/atom
energy above the most stable polymorph in this dataset = 0 meV/atom
magnetization = 0.00 μB per cell
DFT formation energy = 0.2361 eV/atom

Lattice parameters (Å, degrees): 3.3325 5.2198 7.9710 90.00 90.00 90.00
Space group Pmm2 (No. 25)
Symmetry-distinct sites (fractional):
Rb: 0.0000 0.0000 0.0000 [1 per cell]
Mg: 0.0000 0.5000 0.6403 [1 per cell]
Mg: 0.5000 0.0000 0.5197 [1 per cell]
Mg: 0.5000 0.5000 0.3065 [1 per cell]

| no. | calculated volume (Å³/atom) |
| --- | --- |
| 1 | 25.78 |
| 2 | 15.67 |
| 3 | 22.23 |
| 4 | 23.69 |
| 5 | 28.36 |
| 6 | 10.89 |
| 7 | 12.37 |
| 8 | 15.60 |
| 9 | 34.66 |